Run i
Ce2Mg | PBE | relaxed

## Properties
As for the total moment: 2.61 Bohr magnetons per cell.

a b c (Å): 5.7691 5.7691 5.6392
angles (deg): 90.00 90.00 120.00
Element x y z (fractional)
Ce (0.3335, 0.3335, 0.0000)
Ce (0.0000, 0.0000, 0.5000)
Ce (0.6665, 0.0000, 0.0000)
Ce (0.0000, 0.6665, 0.0000)
Mg (0.6667, 0.3333, 0.5000)
Mg (0.3333, 0.6667, 0.5000)



Run ii
Ce2Mg | PBE | relaxed

## Properties
As for the total moment: 0.24 Bohr magnetons per cell.

a b c (Å): 6.0270 6.0270 5.2415
angles (deg): 90.00 90.00 126.08
Element x y z (fractional)
Ce (0.9637, 0.3371, 0.7500)
Ce (0.3371, 0.9637, 0.7500)
Ce (0.6629, 0.0363, 0.2500)
Ce (0.0363, 0.6629, 0.2500)
Mg (0.3389, 0.3389, 0.2500)
Mg (0.6611, 0.6611, 0.7500)



It is run i that is the least stable of them.



Run i
Ce2Mg | PBE | relaxed

## Properties
As for the total moment: 0.80 Bohr magnetons per cell.

a b c (Å): 3.1227 3.1227 18.2401
angles (deg): 90.00 90.00 120.00
Element x y z (fractional)
Mg (0.3333, 0.6667, 0.2500)
Mg (0.6667, 0.3333, 0.7500)
Ce (0.3333, 0.6667, 0.5857)
Ce (0.3333, 0.6667, 0.9143)
Ce (0.6667, 0.3333, 0.0857)
Ce (0.6667, 0.3333, 0.4143)



Run ii
Ce2Mg | PBE | relaxed

## Properties
As for the total moment: 1.08 Bohr magnetons per cell.

a b c (Å): 3.2391 17.7405 5.6648
angles (deg): 90.00 90.00 90.00
Element x y z (fractional)
Ce (0.5000, 0.2774, 0.7500)
Ce (0.0000, 0.5655, 0.2500)
Ce (0.0000, 0.4345, 0.7500)
Ce (0.5000, 0.0655, 0.2500)
Ce (0.5000, 0.7226, 0.2500)
Ce (0.5000, 0.9345, 0.7500)
Ce (0.0000, 0.2226, 0.2500)
Ce (0.0000, 0.7774, 0.7500)
Mg (0.0000, 0.8874, 0.2500)
Mg (0.5000, 0.3874, 0.2500)
Mg (0.0000, 0.1126, 0.7500)
Mg (0.5000, 0.6126, 0.7500)



It is run ii that is the least stable of them.



Run i
Ce2Mg | PBE | relaxed

## Properties
As for the total moment: 0.03 Bohr magnetons per cell.

a b c (Å): 9.5935 9.5935 5.1751
angles (deg): 90.00 90.00 161.32
Element x y z (fractional)
Ce (0.9294, 0.0706, 0.2500)
Ce (0.3966, 0.6034, 0.7500)
Ce (0.0706, 0.9294, 0.7500)
Ce (0.6034, 0.3966, 0.2500)
Mg (0.2710, 0.7290, 0.2500)
Mg (0.7290, 0.2710, 0.7500)



Run ii
Ce2Mg | PBE | relaxed

## Properties
As for the total moment: 4.16 Bohr magnetons per cell.

a b c (Å): 6.1959 6.1959 5.6394
angles (deg): 90.00 90.00 90.00
Element x y z (fractional)
Ce (0.6504, 0.6504, 0.0000)
Ce (0.1504, 0.8496, 0.5000)
Ce (0.8496, 0.1504, 0.5000)
Ce (0.3496, 0.3496, 0.0000)
Mg (0.5000, 0.5000, 0.5000)
Mg (0.0000, 0.0000, 0.0000)



Run iii
Ce2Mg | PBE | relaxed

## Properties
As for the total moment: 1.89 Bohr magnetons per cell.

a b c (Å): 8.7572 8.7572 5.7255
angles (deg): 90.00 90.00 158.70
Element x y z (fractional)
Ce (0.6648, 0.3352, 0.0000)
Ce (0.3231, 0.6769, 0.0000)
Ce (0.4516, 0.5484, 0.5000)
Ce (0.0025, 0.9975, 0.0000)
Mg (0.7727, 0.2273, 0.5000)
Mg (0.1186, 0.8814, 0.5000)



It is run ii that is the least stable of them.



Run i
Ce2Mg | PBE | relaxed

## Properties
As for the total moment: 0.61 Bohr magnetons per cell.

a b c (Å): 3.1370 3.1370 18.0616
angles (deg): 90.00 90.00 120.00
Element x y z (fractional)
Ce (0.0000, 0.0000, 0.3337)
Ce (0.0000, 0.0000, 0.0000)
Ce (0.6667, 0.3333, 0.5000)
Ce (0.0000, 0.0000, 0.6663)
Mg (0.6667, 0.3333, 0.1668)
Mg (0.6667, 0.3333, 0.8332)



Run ii
Ce2Mg | PBE | relaxed

## Properties
As for the total moment: 2.15 Bohr magnetons per cell.

a b c (Å): 6.7955 6.7955 6.7955
angles (deg): 148.45 148.45 45.22
Element x y z (fractional)
Ce (0.3352, 0.3352, 0.0000)
Ce (0.6648, 0.6648, 0.0000)
Mg (0.0000, 0.0000, 0.0000)



It is run ii that is the least stable of them.



Run i
CeMg6Mn | PBE | relaxed

## Properties
As for the total moment: 0.03 Bohr magnetons per cell.

a b c (Å): 6.8538 6.8538 4.5995
angles (deg): 90.00 90.00 125.10
Element x y z (fractional)
Mg (0.1766, 0.8347, 0.2500)
Mg (0.8373, 0.6627, 0.7500)
Mg (0.3167, 0.6802, 0.7500)
Mg (0.6798, 0.8202, 0.2500)
Mg (0.8198, 0.1833, 0.7500)
Mg (0.6653, 0.3234, 0.2500)
Ce (0.2863, 0.2137, 0.7500)
Mn (0.2183, 0.2817, 0.2500)



Run ii
CeMg6Mn | PBE | relaxed

## Properties
As for the total moment: 0.05 Bohr magnetons per cell.

a b c (Å): 6.6545 5.6755 5.0815
angles (deg): 90.00 90.00 115.24
Element x y z (fractional)
Mg (0.6397, 0.8195, 0.2500)
Mg (0.9064, 0.2032, 0.7500)
Mg (0.8185, 0.6592, 0.7500)
Mg (0.3435, 0.1790, 0.7500)
Mg (0.6397, 0.3203, 0.2500)
Mg (0.3435, 0.6645, 0.7500)
Ce (0.1359, 0.8179, 0.2500)
Mn (0.1729, 0.3364, 0.2500)



It is run ii that is the least stable of them.



Run i
CeMg14Mo | PBE | relaxed

## Properties
As for the total moment: 0.46 Bohr magnetons per cell.

a b c (Å): 6.4743 5.9211 10.4402
angles (deg): 90.00 90.00 117.21
Element x y z (fractional)
Mg (0.8418, 0.1709, 0.3905)
Mg (0.8646, 0.6823, 0.3523)
Mg (0.3446, 0.6768, 0.3734)
Mg (0.3446, 0.1678, 0.3734)
Mg (0.6389, 0.8236, 0.1250)
Mg (0.8646, 0.6823, 0.8977)
Mg (0.3446, 0.6768, 0.8766)
Mg (0.6389, 0.3153, 0.1250)
Mg (0.6551, 0.8243, 0.6250)
Mg (0.3446, 0.1678, 0.8766)
Mg (0.1636, 0.3318, 0.6250)
Mg (0.1539, 0.8270, 0.6250)
Mg (0.6551, 0.3308, 0.6250)
Mg (0.8418, 0.1709, 0.8595)
Mo (0.1654, 0.8327, 0.1250)
Ce (0.1379, 0.3189, 0.1250)



Run ii
CeMg14Mo | PBE | relaxed

## Properties
As for the total moment: 3.78 Bohr magnetons per cell.

a b c (Å): 6.5040 6.5040 10.2743
angles (deg): 90.00 90.00 120.00
Element x y z (fractional)
Mg (0.8407, 0.1704, 0.3937)
Mg (0.6584, 0.8416, 0.1250)
Mg (0.6584, 0.3167, 0.1250)
Mg (0.1593, 0.8296, 0.6250)
Mg (0.3296, 0.1704, 0.8563)
Mg (0.6704, 0.8296, 0.6250)
Mg (0.3296, 0.1704, 0.3937)
Mg (0.6704, 0.3407, 0.6250)
Mg (0.8407, 0.1704, 0.8563)
Mg (0.8333, 0.6667, 0.8904)
Mg (0.3296, 0.6593, 0.8563)
Mg (0.1833, 0.8416, 0.1250)
Mg (0.3296, 0.6593, 0.3937)
Mg (0.8333, 0.6667, 0.3596)
Mo (0.1667, 0.3333, 0.6250)
Ce (0.1667, 0.3333, 0.1250)



It is run ii that is the least stable of them.